No. 1
# PBE Sc6Ga16Ru7, optimized geometry
# * DFT formation energy: -0.52 eV per atom
# * E: -5.74 eV per atom
data_Sc6Ga16Ru7
_chemical_formula_sum 'Sc24 Ga64 Ru28'
_symmetry_space_group_name_H-M 'F m -3 m'
_symmetry_Int_Tables_number 225
_symmetry_space_group_name_Hall '-F 4 2 3'
_cell_length_a 12.4341
_cell_length_b 12.4341
_cell_length_c 12.4341
_cell_angle_alpha 90.00
_cell_angle_beta 90.00
_cell_angle_gamma 90.00
loop_
_atom_site_label
_atom_site_type_symbol
_atom_site_fract_x
_atom_site_fract_y
_atom_site_fract_z
_atom_site_occupancy
Sc1 Sc 0.0000 0.0000 0.2202 1
Ga1 Ga 0.1235 0.1235 0.3765 1
Ga2 Ga 0.1558 0.1558 0.1558 1
Ru1 Ru 0.0000 0.0000 0.5000 1
Ru2 Ru 0.0000 0.2500 0.2500 1

=====

No. 2
# PBE GaSiRu2, optimized geometry
# * DFT formation energy: -0.49 eV per atom
# * E: -7.25 eV per atom
data_GaSiRu2
_chemical_formula_sum 'Ga4 Si4 Ru8'
_symmetry_space_group_name_H-M 'F m -3 m'
_symmetry_Int_Tables_number 225
_symmetry_space_group_name_Hall '-F 4 2 3'
_cell_length_a 5.9608
_cell_length_b 5.9608
_cell_length_c 5.9608
_cell_angle_alpha 90.00
_cell_angle_beta 90.00
_cell_angle_gamma 90.00
loop_
_atom_site_label
_atom_site_type_symbol
_atom_site_fract_x
_atom_site_fract_y
_atom_site_fract_z
_atom_site_occupancy
Ga1 Ga 0.0000 0.0000 0.0000 1
Si1 Si 0.0000 0.0000 0.5000 1
Ru1 Ru 0.2500 0.2500 0.2500 1

=====

No. 3
# PBE Sm2Ga9Ru3, optimized geometry
# * DFT formation energy: -0.54 eV per atom
# * E: -5.15 eV per atom
data_Sm2Ga9Ru3
_chemical_formula_sum 'Sm8 Ga36 Ru12'
_symmetry_space_group_name_H-M 'C m c m'
_symmetry_Int_Tables_number 63
_symmetry_space_group_name_Hall '-C 2c 2'
_cell_length_a 13.0303
_cell_length_b 7.5947
_cell_length_c 9.8370
_cell_angle_alpha 90.00
_cell_angle_beta 90.00
_cell_angle_gamma 90.00
loop_
_atom_site_label
_atom_site_type_symbol
_atom_site_fract_x
_atom_site_fract_y
_atom_site_fract_z
_atom_site_occupancy
Sm1 Sm 0.1638 0.1670 0.2500 1
Ga1 Ga 0.0000 0.1268 0.7500 1
Ga2 Ga 0.0000 0.3374 0.0575 1
Ga3 Ga 0.1049 0.4409 0.7500 1
Ga4 Ga 0.1647 0.1705 0.5740 1
Ru1 Ru 0.0000 0.0000 0.0000 1
Ru2 Ru 0.1729 0.5000 0.0000 1

=====

No. 4
# PBE UGaRu, optimized geometry
# * DFT formation energy: -0.35 eV per atom
# * E: -8.21 eV per atom
data_UGaRu
_chemical_formula_sum 'U3 Ga3 Ru3'
_symmetry_space_group_name_H-M 'P -6 2 m'
_symmetry_Int_Tables_number 189
_symmetry_space_group_name_Hall 'P -6 -2'
_cell_length_a 6.8175
_cell_length_b 6.8175
_cell_length_c 4.1140
_cell_angle_alpha 90.00
_cell_angle_beta 90.00
_cell_angle_gamma 120.00
loop_
_atom_site_label
_atom_site_type_symbol
_atom_site_fract_x
_atom_site_fract_y
_atom_site_fract_z
_atom_site_occupancy
U1 U 0.0000 0.4238 0.0000 1
Ga1 Ga 0.0000 0.7621 0.5000 1
Ru1 Ru 0.0000 0.0000 0.0000 1
Ru2 Ru 0.3333 0.6667 0.5000 1

=====

No. 5
# PBE Y3Ga15Ru4, optimized geometry
# * DFT formation energy: -0.52 eV per atom
# * E: -5.15 eV per atom
# * magnetization: 0.0 μB/f.u.
data_Y3Ga15Ru4
_chemical_formula_sum 'Y12 Ga60 Ru16'
_symmetry_space_group_name_H-M 'P n m a'
_symmetry_Int_Tables_number 62
_cell_length_a 8.8202
_cell_length_b 9.7405
_cell_length_c 17.9789
_cell_angle_alpha 90.00
_cell_angle_beta 90.00
_cell_angle_gamma 90.00
loop_
_symmetry_equiv_pos_as_xyz
'x,y,z'
'-x,-y,-z'
'-x+1/2,-y,z+1/2'
'x+1/2,y,-z+1/2'
'x+1/2,-y+1/2,-z+1/2'
'-x+1/2,y+1/2,z+1/2'
'-x,y+1/2,-z'
'x,-y+1/2,z'
loop_
_atom_site_label
_atom_site_type_symbol
_atom_site_fract_x
_atom_site_fract_y
_atom_site_fract_z
_atom_site_occupancy
Y1 Y 0.1255 0.2500 0.2480 1
Y2 Y 0.1256 0.2500 0.6685 1
Y3 Y 0.1256 0.7500 0.5231 1
Ga1 Ga 0.0073 0.7500 0.1690 1
Ga2 Ga 0.0487 0.2500 0.0777 1
Ga3 Ga 0.1210 0.0604 0.9660 1
Ga4 Ga 0.1238 0.5855 0.6712 1
Ga5 Ga 0.1259 0.5768 0.8328 1
Ga6 Ga 0.1275 0.5618 0.2528 1
Ga7 Ga 0.1277 0.0687 0.5321 1
Ga8 Ga 0.1333 0.7500 0.0424 1
Ga9 Ga 0.1962 0.2500 0.4179 1
Ga10 Ga 0.2201 0.7500 0.3591 1
Ru1 Ru 0.1173 0.5021 0.3903 1
Ru2 Ru 0.1300 0.5031 0.1139 1

=====

No. 6
# PBE Zr6Ga16Ru7, optimized geometry
# * DFT formation energy: -0.47 eV per atom
# * E: -6.15 eV per atom
# * magnetization: 1.0 μB/f.u.
data_Zr6Ga16Ru7
_chemical_formula_sum 'Zr24 Ga64 Ru28'
_symmetry_space_group_name_H-M 'F m -3 m'
_symmetry_Int_Tables_number 225
_symmetry_space_group_name_Hall '-F 4 2 3'
_cell_length_a 12.4355
_cell_length_b 12.4355
_cell_length_c 12.4355
_cell_angle_alpha 90.00
_cell_angle_beta 90.00
_cell_angle_gamma 90.00
loop_
_atom_site_label
_atom_site_type_symbol
_atom_site_fract_x
_atom_site_fract_y
_atom_site_fract_z
_atom_site_occupancy
Zr1 Zr 0.0000 0.0000 0.2087 1
Ga1 Ga 0.1218 0.1218 0.3782 1
Ga2 Ga 0.1569 0.1569 0.1569 1
Ru1 Ru 0.0000 0.0000 0.5000 1
Ru2 Ru 0.0000 0.2500 0.2500 1

=====

No. 7
# PBE Tb4GaSbS9, optimized geometry
# * DFT formation energy: -1.84 eV per atom
# * E: -5.74 eV per atom
# * magnetization: 0.0 μB/f.u.
data_Tb4GaSbS9
_chemical_formula_sum 'Tb32 Ga8 Sb8 S72'
_symmetry_space_group_name_H-M 'A e a 2'
_symmetry_Int_Tables_number 41
_cell_length_a 13.5830
_cell_length_b 13.9181
_cell_length_c 14.1448
_cell_angle_alpha 90.00
_cell_angle_beta 90.00
_cell_angle_gamma 90.00
loop_
_symmetry_equiv_pos_as_xyz
'x,y,z'
'-x,-y,z'
'-x+1/2,y+1/2,z'
'x+1/2,-y+1/2,z'
'x,y+1/2,z+1/2'
'-x,-y+1/2,z+1/2'
'-x+1/2,y,z+1/2'
'x+1/2,-y,z+1/2'
loop_
_atom_site_label
_atom_site_type_symbol
_atom_site_fract_x
_atom_site_fract_y
_atom_site_fract_z
_atom_site_occupancy
Tb1 Tb 0.1009 0.1713 0.0000 1
Tb2 Tb 0.1037 0.1111 0.4472 1
Tb3 Tb 0.1824 0.1660 0.7170 1
Tb4 Tb 0.1867 0.3906 0.4900 1
Ga1 Ga 0.0916 0.3951 0.2271 1
Sb1 Sb 0.1130 0.4197 0.7594 1
S1 S 0.0000 0.0000 0.0076 1
S2 S 0.0000 0.0000 0.6340 1
S3 S 0.0099 0.1957 0.8211 1
S4 S 0.0683 0.2533 0.5738 1
S5 S 0.0811 0.0947 0.2502 1
S6 S 0.0994 0.4107 0.9338 1
S7 S 0.1908 0.3010 0.1308 1
S8 S 0.1977 0.4887 0.3152 1
S9 S 0.2458 0.2339 0.3841 1
S10 S 0.2488 0.0578 0.0690 1

=====

No. 8
# PBE SmGa2S4, optimized geometry
# * DFT formation energy: -1.30 eV per atom
# * E: -4.91 eV per atom
# * magnetization: 0.0 μB/f.u.
data_SmGa2S4
_chemical_formula_sum 'Sm4 Ga8 S16'
_symmetry_space_group_name_H-M 'C c c m'
_symmetry_Int_Tables_number 66
_symmetry_space_group_name_Hall '-C 2 2c'
_cell_length_a 6.2589
_cell_length_b 9.7631
_cell_length_c 10.0452
_cell_angle_alpha 90.00
_cell_angle_beta 90.00
_cell_angle_gamma 90.00
loop_
_atom_site_label
_atom_site_type_symbol
_atom_site_fract_x
_atom_site_fract_y
_atom_site_fract_z
_atom_site_occupancy
Sm1 Sm 0.0000 0.0000 0.2500 1
Ga1 Ga 0.0054 0.2801 0.0000 1
S1 S 0.2118 0.0710 0.5000 1
S2 S 0.2500 0.2500 0.1797 1